VASP calculation (PBE+U) on an optimized crystal structure of V3Fe2CoP6O24.

abc: 8.5874 8.5874 20.6496
angles: 90.00 90.00 120.00
Space group R3 (No. 146, hexagonal axes)
Inequivalent atoms, fractional coordinates:
V (0.0000, 0.0000, 0.0000) [3 per cell]
V (0.0000, 0.0000, 0.2163) [3 per cell]
V (0.0000, 0.0000, 0.5014) [3 per cell]
Fe (0.0000, 0.0000, 0.3572) [3 per cell]
Fe (0.0000, 0.0000, 0.8569) [3 per cell]
Co (0.0000, 0.0000, 0.7178) [3 per cell]
P (0.9997, 0.7064, 0.1075) [9 per cell]
P (0.0007, 0.2876, 0.6113) [9 per cell]
O (0.0004, 0.1900, 0.5478) [9 per cell]
O (0.0000, 0.1912, 0.6726) [9 per cell]
O (0.0098, 0.8091, 0.1683) [9 per cell]
O (0.0150, 0.1858, 0.2824) [9 per cell]
O (0.0201, 0.8379, 0.7807) [9 per cell]
O (0.1408, 0.6676, 0.7119) [9 per cell]
O (0.1695, 0.6839, 0.1008) [9 per cell]
O (0.1723, 0.4799, 0.6028) [9 per cell]

Calculated values
Total magnetic moment = 47.495 μB/cell
Energy relative to the elements = -2443 meV per atom